No. 1
CrFe2O5: relaxed, PBE+U.

Properties
size of the total moment = 12.0 μB/f.u.
energy relative to the lowest polymorph listed for this composition = 0.000 eV/atom

a = 5.686 Å, b = 5.686 Å, c = 7.067 Å
α = 109.31°, β = 109.31°, γ = 53.51°
Positions (direct):
1 Cr 0.000 0.000 0.000
2 Cr 0.000 0.000 0.500
3 Fe 0.363 0.374 0.775
4 Fe 0.374 0.363 0.275
5 Fe 0.626 0.637 0.725
6 Fe 0.637 0.626 0.225
7 O 0.035 0.328 0.147
8 O 0.186 0.814 0.250
9 O 0.253 0.583 0.550
10 O 0.328 0.035 0.647
11 O 0.417 0.747 0.950
12 O 0.583 0.253 0.050
13 O 0.672 0.965 0.353
14 O 0.747 0.417 0.450
15 O 0.814 0.186 0.750
16 O 0.965 0.672 0.853

No. 2
CrFeO3: relaxed, PBE+U.

a = 5.466 Å, b = 5.466 Å, c = 5.466 Å
α = 55.62°, β = 55.62°, γ = 55.62°
Positions (direct):
1 Cr 0.153 0.153 0.153
2 Cr 0.847 0.847 0.847
3 Fe 0.357 0.357 0.357
4 Fe 0.643 0.643 0.643
5 O 0.053 0.755 0.446
6 O 0.245 0.554 0.947
7 O 0.446 0.053 0.755
8 O 0.554 0.947 0.245
9 O 0.755 0.446 0.053
10 O 0.947 0.245 0.554

No. 3
CrFeO3: relaxed, PBE+U.

Properties
size of the total moment = 7.4 μB/f.u.

a = 10.034 Å, b = 10.072 Å, c = 10.273 Å
α = 87.43°, β = 89.10°, γ = 82.07°
Positions (direct):
1 Cr 0.000 0.000 0.000
2 Cr 0.003 0.774 0.200
3 Cr 0.058 0.026 0.655
4 Cr 0.101 0.426 0.135
5 Cr 0.127 0.767 0.531
6 Cr 0.301 0.259 0.369
7 Cr 0.316 0.673 0.326
8 Cr 0.356 0.973 0.457
9 Cr 0.573 0.231 0.472
10 Cr 0.608 0.023 0.690
11 Cr 0.670 0.543 0.347
12 Cr 0.820 0.847 0.856
13 Cr 0.843 0.591 0.034
14 Cr 0.889 0.540 0.523
15 Cr 0.908 0.245 0.117
16 Cr 0.917 0.425 0.816
17 Fe 0.112 0.593 0.863
18 Fe 0.226 0.509 0.620
19 Fe 0.251 0.982 0.177
20 Fe 0.257 0.124 0.914
21 Fe 0.312 0.225 0.668
22 Fe 0.321 0.833 0.793
23 Fe 0.365 0.387 0.907
24 Fe 0.456 0.410 0.179
25 Fe 0.507 0.032 0.964
26 Fe 0.586 0.597 0.905
27 Fe 0.607 0.753 0.623
28 Fe 0.652 0.408 0.655
29 Fe 0.680 0.118 0.223
30 Fe 0.700 0.229 0.913
31 Fe 0.717 0.817 0.148
32 Fe 0.902 0.053 0.416
33 O 0.006 0.609 0.131
34 O 0.008 0.311 0.236
35 O 0.037 0.611 0.560
36 O 0.109 0.435 0.764
37 O 0.117 0.867 0.108
38 O 0.122 0.739 0.341
39 O 0.126 0.126 0.057
40 O 0.164 0.144 0.747
41 O 0.202 0.693 0.742
42 O 0.215 0.488 0.992
43 O 0.223 0.924 0.591
44 O 0.232 0.353 0.512
45 O 0.240 0.103 0.335
46 O 0.266 0.403 0.238
47 O 0.300 0.640 0.508
48 O 0.355 0.931 0.964
49 O 0.358 0.852 0.313
50 O 0.382 0.396 0.721
51 O 0.401 0.148 0.512
52 O 0.420 0.219 0.995
53 O 0.432 0.084 0.773
54 O 0.480 0.488 0.005
55 O 0.480 0.560 0.275
56 O 0.484 0.247 0.294
57 O 0.498 0.698 0.766
58 O 0.519 0.911 0.553
59 O 0.598 0.984 0.137
60 O 0.611 0.404 0.463
61 O 0.633 0.208 0.654
62 O 0.683 0.026 0.870
63 O 0.693 0.734 0.957
64 O 0.700 0.617 0.524
65 O 0.707 0.092 0.409
66 O 0.708 0.278 0.121
67 O 0.710 0.438 0.853
68 O 0.713 0.624 0.179
69 O 0.734 0.853 0.689
70 O 0.845 0.821 0.287
71 O 0.859 0.410 0.643
72 O 0.864 0.493 0.368
73 O 0.879 0.855 0.039
74 O 0.888 0.081 0.221
75 O 0.893 0.171 0.951
76 O 0.917 0.625 0.856
77 O 0.943 0.412 0.013
78 O 0.974 0.912 0.535
79 O 0.980 0.154 0.545
80 O 0.988 0.947 0.813

No. 4
CrFeO3: relaxed, PBE+U.

Properties
size of the total moment = 7.0 μB/f.u.

a = 10.120 Å, b = 10.478 Å, c = 10.910 Å
α = 93.22°, β = 91.69°, γ = 97.73°
Positions (direct):
1 Cr 0.000 0.000 0.000
2 Cr 0.012 0.805 0.242
3 Cr 0.156 0.392 0.444
4 Cr 0.183 0.492 0.115
5 Cr 0.226 0.699 0.626
6 Cr 0.245 0.647 0.352
7 Cr 0.266 0.263 0.935
8 Cr 0.323 0.920 0.889
9 Cr 0.417 0.778 0.097
10 Cr 0.485 0.110 0.038
11 Cr 0.500 0.638 0.474
12 Cr 0.548 0.154 0.590
13 Cr 0.708 0.295 0.044
14 Cr 0.924 0.463 0.200
15 Cr 0.944 0.556 0.639
16 Cr 0.966 0.245 0.912
17 Fe 0.088 0.731 0.918
18 Fe 0.125 0.194 0.669
19 Fe 0.210 0.504 0.818
20 Fe 0.250 0.944 0.472
21 Fe 0.427 0.385 0.541
22 Fe 0.485 0.109 0.319
23 Fe 0.486 0.472 0.981
24 Fe 0.531 0.871 0.679
25 Fe 0.652 0.468 0.714
26 Fe 0.673 0.698 0.884
27 Fe 0.690 0.960 0.452
28 Fe 0.731 0.329 0.446
29 Fe 0.792 0.035 0.759
30 Fe 0.795 0.782 0.636
31 Fe 0.809 0.602 0.393
32 Fe 0.955 0.108 0.478
33 O 0.006 0.371 0.076
34 O 0.045 0.897 0.878
35 O 0.051 0.257 0.389
36 O 0.097 0.634 0.754
37 O 0.101 0.157 0.998
38 O 0.113 0.541 0.534
39 O 0.115 0.502 0.273
40 O 0.120 0.051 0.540
41 O 0.126 0.318 0.834
42 O 0.138 0.576 0.984
43 O 0.159 0.807 0.344
44 O 0.245 0.321 0.574
45 O 0.259 0.825 0.016
46 O 0.309 0.395 0.072
47 O 0.314 0.642 0.186
48 O 0.335 0.094 0.894
49 O 0.341 0.495 0.416
50 O 0.346 0.834 0.743
51 O 0.350 0.748 0.489
52 O 0.364 0.413 0.849
53 O 0.383 0.105 0.162
54 O 0.437 0.031 0.487
55 O 0.488 0.934 0.982
56 O 0.491 0.834 0.253
57 O 0.508 0.551 0.626
58 O 0.511 0.668 0.007
59 O 0.525 0.285 0.997
60 O 0.526 0.311 0.675
61 O 0.535 0.270 0.438
62 O 0.588 0.944 0.279
63 O 0.611 0.060 0.717
64 O 0.629 0.789 0.533
65 O 0.634 0.539 0.409
66 O 0.642 0.507 0.888
67 O 0.655 0.148 0.119
68 O 0.711 0.852 0.786
69 O 0.739 0.433 0.141
70 O 0.766 0.150 0.446
71 O 0.793 0.413 0.604
72 O 0.800 0.301 0.906
73 O 0.803 0.629 0.739
74 O 0.840 0.960 0.588
75 O 0.858 0.073 0.945
76 O 0.866 0.434 0.366
77 O 0.894 0.654 0.244
78 O 0.911 0.692 0.531
79 O 0.942 0.164 0.745
80 O 0.974 0.932 0.147

These records have electronic total energy values of -6.931 -7.357 -6.985 -6.924 eV/atom, in the order they appear.
These records have energy relative to the elements values of -14.07 -10.13 -8.28 -6.39 eV per formula unit, in the order they appear.